A relaxed Ce2Ga12Ni crystal. Source: the Materials Project database, functional PBE.

abc: 6.041 6.041 15.565
angles: 90.00 90.00 90.00
Element x y z (fractional)
Ce 0.250 0.750 0.243
Ce 0.250 0.750 0.757
Ce 0.750 0.250 0.243
Ce 0.750 0.250 0.757
Ga 0.000 0.000 0.084
Ga 0.000 0.000 0.916
Ga 0.000 0.500 0.084
Ga 0.000 0.500 0.916
Ga 0.074 0.574 0.427
Ga 0.074 0.926 0.573
Ga 0.250 0.250 0.182
Ga 0.250 0.250 0.339
Ga 0.250 0.250 0.661
Ga 0.250 0.250 0.818
Ga 0.426 0.574 0.573
Ga 0.426 0.926 0.427
Ga 0.500 0.000 0.084
Ga 0.500 0.000 0.916
Ga 0.500 0.500 0.084
Ga 0.500 0.500 0.916
Ga 0.574 0.074 0.573
Ga 0.574 0.426 0.427
Ga 0.750 0.750 0.182
Ga 0.750 0.750 0.339
Ga 0.750 0.750 0.661
Ga 0.750 0.750 0.818
Ga 0.926 0.074 0.427
Ga 0.926 0.426 0.573
Ni 0.250 0.750 0.000
Ni 0.750 0.250 0.000

## Properties
* SG: P4/nbm, No. 125
* formation enthalpy at 0 K: -0.39 eV per atom